1.
Entry from Materials Project: TeO2 after structural relaxation (meta-GGA r2SCAN).

a b c (Å): 4.8259 4.8259 7.6541
angles (deg): 90.00 90.00 90.00
With the nearest neighbours (Å) after each atom.
Element x y z (fractional)
Te  0.0272  0.0272  0.0000  2 O 1.89
Te  0.4728  0.5272  0.7500  2 O 1.89
Te  0.5272  0.4728  0.2500  2 O 1.89
Te  0.9728  0.9728  0.5000  2 O 1.89
O  0.1395  0.2599  0.8153  1 Te 1.89
O  0.2401  0.6395  0.5653  1 Te 1.89
O  0.2599  0.1395  0.1847  1 Te 1.89
O  0.3605  0.7599  0.9347  1 Te 1.89
O  0.6395  0.2401  0.4347  1 Te 1.89
O  0.7401  0.8605  0.6847  1 Te 1.89
O  0.7599  0.3605  0.0653  1 Te 1.89
O  0.8605  0.7401  0.3153  1 Te 1.89


2.
Entry from Materials Project: PdPb after structural relaxation (meta-GGA r2SCAN).

a b c (Å): 5.6347 5.6360 21.7030
angles (deg): 95.85 95.82 99.60
With the nearest neighbours (Å) after each atom.
Element x y z (fractional)
Pd  0.0233  0.2628  0.2082  3 Pd 2.85-3.08, 7 Pb 2.88-3.08
Pd  0.0944  0.8594  0.5443  3 Pd 2.84-3.08, 6 Pb 2.84-2.94
Pd  0.1422  0.3817  0.9578  3 Pd 2.85-3.08, 7 Pb 2.88-3.11
Pd  0.2635  0.5012  0.7086  3 Pd 2.84-3.08, 7 Pb 2.88-3.10
Pd  0.3166  0.5787  0.4588  3 Pd 2.84-3.08, 7 Pb 2.88-3.08
Pd  0.3275  0.0645  0.2945  3 Pd 2.84-3.08, 6 Pb 2.85-2.93
Pd  0.4321  0.6986  0.2063  3 Pd 2.84-3.08, 6 Pb 2.84-2.94
Pd  0.4475  0.1838  0.0439  6 Pb 2.85-2.94, 3 Pd 2.85-3.08
Pd  0.5525  0.8162  0.9561  6 Pb 2.85-2.94, 3 Pd 2.85-3.08
Pd  0.5679  0.3014  0.7937  3 Pd 2.84-3.08, 6 Pb 2.84-2.94
Pd  0.6725  0.9355  0.7055  3 Pd 2.84-3.08, 6 Pb 2.85-2.93
Pd  0.6834  0.4213  0.5412  3 Pd 2.84-3.08, 7 Pb 2.88-3.08
Pd  0.7365  0.4988  0.2914  3 Pd 2.84-3.08, 7 Pb 2.88-3.10
Pd  0.8578  0.6183  0.0422  3 Pd 2.85-3.08, 7 Pb 2.88-3.11
Pd  0.9056  0.1406  0.4557  3 Pd 2.84-3.08, 6 Pb 2.84-2.94
Pd  0.9767  0.7372  0.7918  3 Pd 2.85-3.08, 7 Pb 2.88-3.08
Pb  0.0559  0.8535  0.9298  6 Pd 2.85-3.11
Pb  0.0649  0.2668  0.8203  6 Pd 2.84-3.10
Pb  0.1747  0.9708  0.6806  6 Pd 2.85-3.08
Pb  0.1845  0.3880  0.5732  7 Pd 2.88-2.94
Pb  0.2651  0.5621  0.3232  7 Pd 2.88-2.94
Pb  0.3795  0.0829  0.4303  6 Pd 2.84-3.08
Pb  0.3839  0.6794  0.0724  7 Pd 2.88-2.94
Pb  0.4960  0.2013  0.1775  7 Pd 2.87-2.94
Pb  0.5040  0.7987  0.8225  7 Pd 2.87-2.94
Pb  0.6161  0.3206  0.9276  7 Pd 2.88-2.94
Pb  0.6205  0.9171  0.5697  6 Pd 2.84-3.08
Pb  0.7349  0.4379  0.6768  7 Pd 2.88-2.94
Pb  0.8155  0.6120  0.4268  7 Pd 2.88-2.94
Pb  0.8253  0.0292  0.3194  6 Pd 2.85-3.08
Pb  0.9351  0.7332  0.1797  6 Pd 2.84-3.10
Pb  0.9441  0.1465  0.0702  6 Pd 2.85-3.11


Number 1: M_tot 0.00 μB per formula unit, formation enthalpy at 0 K -106 kJ per mole of atoms, calculated density 5.95 g cm⁻³. Number 2: M_tot 0.00 μB per formula unit, formation enthalpy at 0 K -26 kJ per mole of atoms, calculated density 12.42 g cm⁻³.